(1)
Compound: DyNiSb
Source: Materials Project
Functional: r²SCAN
Structure: optimized geometry Values from VASP.

Values from the calculation:
SG: F-43m

```
&SYSTEM
  ibrav = 0, nat = 3, ntyp = 3
/
ATOMIC_SPECIES
Dy 162.50 Dy.upf
Ni 58.69 Ni.upf
Sb 121.76 Sb.upf
ATOMIC_POSITIONS angstrom
Dy 0.000 0.000 0.000
Ni 1.578 1.578 1.578
Sb 3.156 3.156 3.156
CELL_PARAMETERS angstrom
0.000 3.156 3.156
3.156 0.000 3.156
3.156 3.156 0.000
```



(2)
Compound: DySi2Ni10
Source: Materials Project
Functional: r²SCAN
Structure: optimized geometry Values from VASP.

Values from the calculation:
SG: P4/nmm

```
&SYSTEM
  ibrav = 0, nat = 26, ntyp = 3
/
ATOMIC_SPECIES
Dy 162.50 Dy.upf
Si 28.09 Si.upf
Ni 58.69 Ni.upf
ATOMIC_POSITIONS angstrom
Dy 2.021 2.021 1.022
Dy 6.063 6.063 3.610
Si 0.000 0.000 2.316
Si 0.000 4.042 2.316
Si 4.042 0.000 2.316
Si 4.042 4.042 2.316
Ni 0.000 0.000 0.000
Ni 0.000 4.042 0.000
Ni 0.207 2.021 3.377
Ni 0.835 6.063 3.527
Ni 2.021 0.207 3.377
Ni 2.021 3.835 3.377
Ni 2.021 4.877 1.104
Ni 2.021 7.249 1.104
Ni 3.207 6.063 3.527
Ni 3.835 2.021 3.377
Ni 4.042 0.000 0.000
Ni 4.042 4.042 0.000
Ni 4.249 6.063 1.254
Ni 4.877 2.021 1.104
Ni 6.063 0.835 3.527
Ni 6.063 3.207 3.527
Ni 6.063 4.249 1.254
Ni 6.063 7.877 1.254
Ni 7.249 2.021 1.104
Ni 7.877 6.063 1.254
CELL_PARAMETERS angstrom
8.084 0.000 0.000
0.000 8.084 0.000
0.000 0.000 4.632
```



(3)
Compound: DySiNi4
Source: Materials Project
Functional: r²SCAN
Structure: optimized geometry Values from VASP.

Values from the calculation:
SG: Cmmm

```
&SYSTEM
  ibrav = 0, nat = 6, ntyp = 3
/
ATOMIC_SPECIES
Dy 162.50 Dy.upf
Si 28.09 Si.upf
Ni 58.69 Ni.upf
ATOMIC_POSITIONS angstrom
Dy 0.000 0.000 0.000
Si 2.505 0.000 1.956
Ni 1.252 2.023 1.956
Ni 2.505 1.287 0.000
Ni 1.252 -2.023 1.956
Ni 2.505 -1.287 0.000
CELL_PARAMETERS angstrom
2.505 -4.047 0.000
2.505 4.047 0.000
0.000 0.000 3.911
```



(4)
Compound: DySi3Ni5
Source: Materials Project
Functional: r²SCAN
Structure: optimized geometry Values from VASP.

Values from the calculation:
SG: Pnma

```
&SYSTEM
  ibrav = 0, nat = 36, ntyp = 3
/
ATOMIC_SPECIES
Dy 162.50 Dy.upf
Si 28.09 Si.upf
Ni 58.69 Ni.upf
ATOMIC_POSITIONS angstrom
Dy 2.675 0.940 0.811
Dy 6.607 2.820 4.098
Dy 11.958 0.940 2.476
Dy 15.890 2.820 5.763
Si 1.374 2.820 5.548
Si 1.591 2.820 2.762
Si 4.401 0.940 4.096
Si 4.881 2.820 0.809
Si 7.691 0.940 6.048
Si 7.909 0.940 2.261
Si 10.657 2.820 4.313
Si 10.874 2.820 0.525
Si 13.684 0.940 5.765
Si 14.164 2.820 2.478
Si 16.974 0.940 3.812
Si 17.191 0.940 1.026
Ni 0.099 2.820 0.880
Ni 0.281 0.940 2.528
Ni 2.136 0.940 4.233
Ni 3.704 2.820 5.364
Ni 3.830 2.820 2.838
Ni 5.452 0.940 6.125
Ni 5.579 0.940 2.077
Ni 7.147 2.820 0.946
Ni 9.001 2.820 5.815
Ni 9.184 0.940 4.167
Ni 9.381 2.820 2.406
Ni 9.564 0.940 0.759
Ni 11.418 0.940 5.628
Ni 12.986 2.820 4.497
Ni 13.113 2.820 0.448
Ni 14.735 0.940 3.735
Ni 14.861 0.940 1.210
Ni 16.429 2.820 2.341
Ni 18.284 2.820 4.046
Ni 18.466 0.940 5.693
CELL_PARAMETERS angstrom
18.565 0.000 0.000
0.000 3.760 0.000
0.000 0.000 6.574
```



(5)
Compound: DySiNi
Source: Materials Project
Functional: r²SCAN
Structure: optimized geometry Values from VASP.

Values from the calculation:
SG: Pnma

```
&SYSTEM
  ibrav = 0, nat = 12, ntyp = 3
/
ATOMIC_SPECIES
Dy 162.50 Dy.upf
Si 28.09 Si.upf
Ni 58.69 Ni.upf
ATOMIC_POSITIONS angstrom
Dy 0.067 1.035 1.433
Dy 3.359 3.105 4.988
Dy 3.493 1.035 2.122
Dy 6.785 3.105 5.677
Si 1.314 1.035 4.188
Si 2.112 3.105 0.633
Si 4.740 1.035 6.477
Si 5.538 3.105 2.922
Ni 1.263 3.105 2.982
Ni 2.163 1.035 6.537
Ni 4.689 3.105 0.573
Ni 5.589 1.035 4.128
CELL_PARAMETERS angstrom
6.852 0.000 0.000
0.000 4.140 0.000
0.000 0.000 7.110
```



(6)
Compound: Dy2Si5Ni3
Source: Materials Project
Functional: r²SCAN
Structure: optimized geometry Values from VASP.

Values from the calculation:
SG: Ibam

```
&SYSTEM
  ibrav = 0, nat = 20, ntyp = 3
/
ATOMIC_SPECIES
Dy 162.50 Dy.upf
Si 28.09 Si.upf
Ni 58.69 Ni.upf
ATOMIC_POSITIONS angstrom
Dy 2.250 1.445 0.000
Dy 2.250 -1.445 2.817
Dy 2.512 6.963 0.000
Dy 2.512 4.073 2.817
Si 4.762 -2.593 1.409
Si 6.199 1.189 0.000
Si 0.000 0.000 1.409
Si 1.437 4.329 0.000
Si 4.762 2.593 1.409
Si 0.000 2.925 1.409
Si 3.325 1.189 2.817
Si 0.000 0.000 4.226
Si -1.437 4.329 2.817
Si 0.000 8.111 1.409
Ni 3.682 -4.042 2.817
Ni 4.762 0.000 1.409
Ni 3.682 4.042 0.000
Ni 1.080 1.476 2.817
Ni 0.000 5.518 1.409
Ni 1.080 9.560 0.000
CELL_PARAMETERS angstrom
-4.762 5.518 2.817
4.762 -5.518 2.817
4.762 5.518 -2.817
```



(7)
Compound: Dy3Si2Ni6
Source: Materials Project
Functional: r²SCAN
Structure: optimized geometry Values from VASP.

Values from the calculation:
SG: Im-3m

```
&SYSTEM
  ibrav = 0, nat = 22, ntyp = 3
/
ATOMIC_SPECIES
Dy 162.50 Dy.upf
Si 28.09 Si.upf
Ni 58.69 Ni.upf
ATOMIC_POSITIONS angstrom
Dy 2.498 0.000 0.000
Dy 6.203 0.000 0.000
Dy 0.000 2.498 0.000
Dy 0.000 0.000 2.498
Dy 0.000 6.203 0.000
Dy 0.000 0.000 6.203
Si 2.175 2.175 -2.175
Si 2.175 -2.175 2.175
Si -2.175 2.175 2.175
Si 2.175 2.175 2.175
Ni 4.350 1.475 -1.475
Ni 4.350 -1.475 1.475
Ni 1.475 4.350 -1.475
Ni 2.876 2.876 0.000
Ni 2.876 0.000 2.876
Ni 1.475 -1.475 4.350
Ni 4.350 1.475 1.475
Ni 0.000 2.876 2.876
Ni -1.475 4.350 1.475
Ni -1.475 1.475 4.350
Ni 1.475 4.350 1.475
Ni 1.475 1.475 4.350
CELL_PARAMETERS angstrom
-4.350 4.350 4.350
4.350 -4.350 4.350
4.350 4.350 -4.350
```



(8)
Compound: Dy2Ni2Sn
Source: Materials Project
Functional: r²SCAN
Structure: optimized geometry Values from VASP.

Values from the calculation:
SG: P4/mbm

```
&SYSTEM
  ibrav = 0, nat = 10, ntyp = 3
/
ATOMIC_SPECIES
Dy 162.50 Dy.upf
Ni 58.69 Ni.upf
Sn 118.71 Sn.upf
ATOMIC_POSITIONS angstrom
Dy 1.290 2.376 0.000
Dy 2.376 6.042 0.000
Dy 4.956 1.290 0.000
Dy 6.042 4.956 0.000
Ni 0.870 4.536 1.813
Ni 2.796 0.870 1.813
Ni 4.536 6.462 1.813
Ni 6.462 2.796 1.813
Sn 0.000 0.000 1.813
Sn 3.666 3.666 1.813
CELL_PARAMETERS angstrom
7.332 0.000 0.000
0.000 7.332 0.000
0.000 0.000 3.625
```



(9)
Compound: Dy2Ni2Sn
Source: Materials Project
Functional: r²SCAN
Structure: optimized geometry Values from VASP.

Values from the calculation:
SG: Immm

```
&SYSTEM
  ibrav = 0, nat = 5, ntyp = 3
/
ATOMIC_SPECIES
Dy 162.50 Dy.upf
Ni 58.69 Ni.upf
Sn 118.71 Sn.upf
ATOMIC_POSITIONS angstrom
Dy 0.000 0.000 1.667
Dy 0.000 0.000 6.556
Ni 2.128 1.181 0.000
Ni 0.000 1.619 4.111
Sn 0.000 2.800 0.000
CELL_PARAMETERS angstrom
-2.128 2.800 4.111
2.128 -2.800 4.111
2.128 2.800 -4.111
```



(10)
Compound: DyP3O9
Source: Materials Project
Functional: r²SCAN
Structure: optimized geometry Values from VASP.

Values from the calculation:
SG: P2_1/m

```
&SYSTEM
  ibrav = 0, nat = 52, ntyp = 3
/
ATOMIC_SPECIES
Dy 162.50 Dy.upf
P 30.97 P.upf
O 16.00 O.upf
ATOMIC_POSITIONS angstrom
Dy 1.039 2.422 5.100
Dy 1.838 2.422 10.803
Dy 4.801 7.267 0.197
Dy 5.600 7.267 5.901
P 1.204 7.267 1.143
P 1.779 0.095 2.559
P 1.779 4.750 2.559
P 1.986 7.267 6.895
P 2.033 0.329 7.877
P 2.033 4.516 7.877
P 4.606 5.174 3.123
P 4.606 9.361 3.123
P 4.653 2.422 4.106
P 4.860 4.940 8.442
P 4.860 9.595 8.442
P 5.436 2.422 9.857
O 0.069 7.267 0.190
O 0.849 7.267 5.938
O 0.930 0.829 3.525
O 0.930 4.015 3.525
O 0.991 6.059 2.160
O 0.991 8.476 2.160
O 1.388 0.886 6.664
O 1.388 3.959 6.664
O 1.664 0.872 9.204
O 1.664 3.973 9.204
O 1.818 6.083 7.945
O 1.818 8.451 7.945
O 2.249 0.815 1.345
O 2.249 4.029 1.345
O 2.593 7.267 0.618
O 3.033 5.335 3.353
O 3.033 9.200 3.353
O 3.273 2.422 4.656
O 3.366 7.267 6.345
O 3.606 0.490 7.648
O 3.606 4.355 7.648
O 4.046 2.422 10.383
O 4.390 5.660 9.655
O 4.390 8.874 9.655
O 4.821 1.238 3.056
O 4.821 3.606 3.056
O 4.975 5.717 1.797
O 4.975 8.818 1.797
O 5.251 5.731 4.336
O 5.251 8.804 4.336
O 5.648 1.214 8.841
O 5.648 3.631 8.841
O 5.710 5.674 7.475
O 5.710 8.860 7.475
O 5.791 2.422 5.062
O 6.570 2.422 10.811
CELL_PARAMETERS angstrom
6.986 0.000 0.000
0.000 9.690 0.000
-0.347 0.000 11.001
```



(11)
Compound: DyP3O9
Source: Materials Project
Functional: r²SCAN
Structure: optimized geometry Values from VASP.

Values from the calculation:
SG: Cc

```
&SYSTEM
  ibrav = 0, nat = 26, ntyp = 3
/
ATOMIC_SPECIES
Dy 162.50 Dy.upf
P 30.97 P.upf
O 16.00 O.upf
ATOMIC_POSITIONS angstrom
Dy 4.035 1.796 3.984
Dy 7.094 -1.796 0.000
P -2.948 0.703 6.672
P 0.111 -0.703 2.688
P 0.874 0.593 5.302
P 3.933 -0.593 1.318
P 9.151 0.549 1.801
P 6.092 -0.549 5.785
O -0.256 1.668 4.967
O 0.641 0.321 1.751
O 5.734 2.486 2.724
O -2.418 -0.321 5.735
O 3.716 0.470 0.172
O 2.211 1.215 5.130
O 0.657 -0.470 4.156
O 3.629 0.077 2.607
O 0.571 -0.077 6.591
O 7.856 1.255 2.387
O 2.803 -1.668 0.983
O 5.615 0.442 4.799
O 5.270 -1.215 1.146
O 8.673 -0.442 0.815
O 9.996 0.073 2.927
O 4.797 -1.255 6.371
O 6.938 -0.073 6.910
O 2.675 -2.486 6.708
CELL_PARAMETERS angstrom
7.094 -3.364 0.000
7.094 3.364 0.000
-6.118 0.000 7.967
```



(12)
Compound: Dy2P4O13
Source: Materials Project
Functional: r²SCAN
Structure: optimized geometry Values from VASP.

Values from the calculation:
SG: C222_1

```
&SYSTEM
  ibrav = 0, nat = 38, ntyp = 3
/
ATOMIC_SPECIES
Dy 162.50 Dy.upf
P 30.97 P.upf
O 16.00 O.upf
ATOMIC_POSITIONS angstrom
Dy 1.753 2.536 1.256
Dy 1.753 -2.536 7.316
Dy 5.256 2.536 3.030
Dy 5.256 -2.536 5.543
P 1.685 2.757 4.294
P 2.002 1.109 6.635
P 2.002 -1.109 1.937
P 1.685 -2.757 4.278
P 5.324 2.757 8.565
P 5.007 1.109 6.224
P 5.007 -1.109 2.349
P 5.324 -2.757 0.008
O 1.704 3.943 5.200
O 2.954 5.931 7.568
O 1.465 2.014 7.684
O 1.430 1.453 5.201
O 4.055 5.931 5.292
O 1.857 0.350 1.724
O 2.955 2.561 3.463
O 1.857 -0.350 6.849
O 1.430 -1.453 3.371
O 1.465 -2.014 0.889
O 3.505 1.531 6.430
O 4.054 2.561 0.823
O 1.704 -3.943 3.373
O 5.305 3.943 7.659
O 2.955 -2.561 5.109
O 3.505 -1.531 2.143
O 5.544 2.014 5.175
O 5.579 1.453 7.658
O 5.152 0.350 2.563
O 4.054 -2.561 7.750
O 5.152 -0.350 6.010
O 2.954 -5.931 1.005
O 5.579 -1.453 0.915
O 5.544 -2.014 3.398
O 4.055 -5.931 3.281
O 5.305 -3.943 0.914
CELL_PARAMETERS angstrom
3.505 -8.653 0.000
3.505 8.653 0.000
0.000 0.000 8.573
```



In order of appearance, E_form = -1.003; -0.415; -0.606; -0.716; -0.842; -0.814; -0.662; -0.602; -0.604; -2.771; -2.761; -2.946 eV/atom.